A plane-wave DFT calculation with GGA-PBE was carried out for an optimized crystal structure of Pr2Si2PbSe8.

abc: 16.330 9.494 10.739
angles: 90.00 118.68 90.00
Space group Cc (No. 9)
Inequivalent atoms, fractional coordinates:
Pr 0.000 0.056 0.000 x4
Pr 0.158 0.403 0.508 x4
Si 0.091 0.258 0.777 x4
Si 0.412 0.260 0.734 x4
Pb 0.339 0.088 0.005 x4
Se 0.061 0.152 0.312 x4
Se 0.090 0.487 0.709 x4
Se 0.160 0.256 0.020 x4
Se 0.167 0.125 0.686 x4
Se 0.329 0.399 0.807 x4
Se 0.333 0.263 0.491 x4
Se 0.433 0.040 0.832 x4
Se 0.444 0.335 0.187 x4

Properties
Its MP2020-corrected energy is -277.50 eV for the cell shown. The formation energy from the elements is -1.3294 eV per atom.